# 1
A plane-wave DFT calculation with GGA-PBE was carried out for TmAlAg2 after structural relaxation.

```
TmAlAg2
1.0
6.7897 0.0000 0.0000
0.0000 6.7897 0.0000
0.0000 0.0000 6.7897
Tm Al Ag
4 4 8
Direct
0.0000 0.0000 0.0000
0.0000 0.5000 0.5000
0.5000 0.0000 0.5000
0.5000 0.5000 0.0000
0.0000 0.0000 0.5000
0.0000 0.5000 0.0000
0.5000 0.0000 0.0000
0.5000 0.5000 0.5000
0.2500 0.2500 0.2500
0.2500 0.2500 0.7500
0.2500 0.7500 0.2500
0.2500 0.7500 0.7500
0.7500 0.2500 0.2500
0.7500 0.2500 0.7500
0.7500 0.7500 0.2500
0.7500 0.7500 0.7500
```

***

# 2
A plane-wave DFT calculation with GGA-PBE was carried out for K2Se after structural relaxation.

```
K2Se
1.0
7.7573 0.0000 0.0000
0.0000 7.7573 0.0000
0.0000 0.0000 7.7573
K Se
8 4
Direct
0.2500 0.2500 0.2500
0.2500 0.2500 0.7500
0.2500 0.7500 0.2500
0.2500 0.7500 0.7500
0.7500 0.2500 0.2500
0.7500 0.2500 0.7500
0.7500 0.7500 0.2500
0.7500 0.7500 0.7500
0.0000 0.0000 0.0000
0.0000 0.5000 0.5000
0.5000 0.0000 0.5000
0.5000 0.5000 0.0000
```

***

# 3
A plane-wave DFT calculation with GGA-PBE was carried out for HXeF7 after structural relaxation.

```
HXeF7
1.0
8.4926 4.9032 3.8061
-8.4926 4.9032 3.8061
0.0000 -9.8064 3.8061
H Xe F
6 6 42
Direct
0.1807 0.5641 0.6416
0.3584 0.8193 0.4359
0.4359 0.3584 0.8193
0.5641 0.6416 0.1807
0.6416 0.1807 0.5641
0.8193 0.4359 0.3584
0.0055 0.7301 0.6408
0.2699 0.3592 0.9945
0.3592 0.9945 0.2699
0.6408 0.0055 0.7301
0.7301 0.6408 0.0055
0.9945 0.2699 0.3592
0.0310 0.1266 0.2186
0.0364 0.4209 0.5779
0.0774 0.6909 0.8210
0.0912 0.3004 0.8107
0.0985 0.1989 0.4942
0.1266 0.2186 0.0310
0.1790 0.9226 0.3091
0.1893 0.9088 0.6996
0.1959 0.4187 0.4082
0.1989 0.4942 0.0985
0.2186 0.0310 0.1266
0.2364 0.6676 0.6639
0.3004 0.8107 0.0912
0.3091 0.1790 0.9226
0.3324 0.3361 0.7636
0.3361 0.7636 0.3324
0.4082 0.1959 0.4187
0.4187 0.4082 0.1959
0.4209 0.5779 0.0364
0.4221 0.9636 0.5791
0.4942 0.0985 0.1989
0.5058 0.9015 0.8011
0.5779 0.0364 0.4209
0.5791 0.4221 0.9636
0.5813 0.5918 0.8041
0.5918 0.8041 0.5813
0.6639 0.2364 0.6676
0.6676 0.6639 0.2364
0.6909 0.8210 0.0774
0.6996 0.1893 0.9088
0.7636 0.3324 0.3361
0.7814 0.9690 0.8734
0.8011 0.5058 0.9015
0.8041 0.5813 0.5918
0.8107 0.0912 0.3004
0.8210 0.0774 0.6909
0.8734 0.7814 0.9690
0.9015 0.8011 0.5058
0.9088 0.6996 0.1893
0.9226 0.3091 0.1790
0.9636 0.5791 0.4221
0.9690 0.8734 0.7814
```

Properties
* M_tot: 0.0 μB per formula unit
* excess energy over the best structure of this formula in the dataset: 26.9 meV/atom

***

So what do the calculations give for calculated density? Going down the list: 8.7; 2.2; 2.8 Mg/m³.
So what do the calculations give for formation enthalpy at 0 K? Going down the list: -334; -1254; -979 meV/atom.